Entry 1:
K2Ge2O5 PBE optimized geometry; formation enthalpy at 0 K = -2148 meV per atom; spin magnetization = 0.000 μB/f.u.; symmetry = Cc (9); calculated total energy = -312.6 eV for the cell shown
1.0
8.534 -5.888 0.000
8.534 5.888 0.000
-4.627 0.000 9.330
K Ge O
12 12 30
Direct
0.016 0.984 0.500 K
0.062 0.617 0.899 K
0.213 0.745 0.735 K
0.396 0.885 0.586 K
0.411 0.469 0.556 K
0.454 0.921 0.991 K
0.469 0.411 0.056 K
0.617 0.062 0.399 K
0.745 0.213 0.235 K
0.885 0.396 0.086 K
0.921 0.454 0.491 K
0.984 0.016 0.000 K
0.141 0.172 0.853 Ge
0.168 0.627 0.285 Ge
0.172 0.141 0.353 Ge
0.259 0.300 0.697 Ge
0.300 0.259 0.197 Ge
0.302 0.807 0.192 Ge
0.627 0.168 0.785 Ge
0.656 0.689 0.295 Ge
0.689 0.656 0.795 Ge
0.782 0.822 0.642 Ge
0.807 0.302 0.692 Ge
0.822 0.782 0.142 Ge
0.009 0.233 0.272 O
0.163 0.201 0.041 O
0.171 0.323 0.830 O
0.191 0.949 0.297 O
0.201 0.163 0.541 O
0.201 0.724 0.459 O
0.216 0.465 0.670 O
0.227 0.441 0.285 O
0.233 0.009 0.772 O
0.263 0.643 0.178 O
0.264 0.818 0.023 O
0.323 0.171 0.330 O
0.441 0.227 0.785 O
0.465 0.216 0.170 O
0.482 0.809 0.310 O
0.510 0.685 0.769 O
0.640 0.986 0.668 O
0.643 0.263 0.678 O
0.683 0.715 0.144 O
0.685 0.510 0.269 O
0.715 0.683 0.644 O
0.724 0.201 0.959 O
0.774 0.780 0.454 O
0.780 0.774 0.954 O
0.809 0.482 0.810 O
0.818 0.264 0.523 O
0.822 0.949 0.251 O
0.949 0.191 0.797 O
0.949 0.822 0.751 O
0.986 0.640 0.168 O

Entry 2:
CsPr3 PBE optimized geometry; formation enthalpy at 0 K = 538 meV per atom; spin magnetization = 0.000 μB/f.u.; symmetry = I4/mmm (139); calculated total energy = -13.1 eV for the cell shown
1.0
-2.730 2.730 5.438
2.730 -2.730 5.438
2.730 2.730 -5.438
Cs Pr
1 3
Direct
0.000 0.000 0.000 Cs
0.250 0.750 0.500 Pr
0.500 0.500 0.000 Pr
0.750 0.250 0.500 Pr

Entry 3:
Sr2La2Tl2Cu3O10 PBE optimized geometry; formation enthalpy at 0 K = -2126 meV per atom; spin magnetization = 0.001 μB/f.u.; symmetry = I4/mmm (139); calculated total energy = -113.3 eV for the cell shown
1.0
-1.982 1.982 17.736
1.982 -1.982 17.736
1.982 1.982 -17.736
Sr La Tl Cu O
2 2 2 3 10
Direct
0.147 0.147 0.000 Sr
0.853 0.853 0.000 Sr
0.049 0.049 0.000 La
0.951 0.951 0.000 La
0.281 0.281 0.000 Tl
0.719 0.719 0.000 Tl
0.404 0.404 0.000 Cu
0.500 0.500 0.000 Cu
0.596 0.596 0.000 Cu
0.000 0.500 0.500 O
0.091 0.591 0.500 O
0.220 0.220 0.000 O
0.342 0.342 0.000 O
0.409 0.909 0.500 O
0.500 0.000 0.500 O
0.591 0.091 0.500 O
0.658 0.658 0.000 O
0.780 0.780 0.000 O
0.909 0.409 0.500 O

Entry 4:
Tm2CdSe4 PBE optimized geometry; formation enthalpy at 0 K = -1774 meV per atom; symmetry = Fd-3m (227); calculated total energy = -68.8 eV for the cell shown
1.0
0.000 5.851 5.851
5.851 0.000 5.851
5.851 5.851 0.000
Tm Cd Se
4 2 8
Direct
0.000 0.000 0.000 Tm
0.000 0.000 0.500 Tm
0.000 0.500 0.000 Tm
0.500 0.000 0.000 Tm
0.375 0.375 0.375 Cd
0.625 0.625 0.625 Cd
0.227 0.758 0.758 Se
0.242 0.242 0.242 Se
0.242 0.242 0.773 Se
0.242 0.773 0.242 Se
0.758 0.227 0.758 Se
0.758 0.758 0.227 Se
0.758 0.758 0.758 Se
0.773 0.242 0.242 Se